DFT (PBE) results for an optimized crystal structure of LaZnIn.

Unit cell a=4.811 b=4.811 c=7.859 alpha=90.00 beta=90.00 gamma=120.00
Fractional coordinates of all 6 atoms:
La: 0.000 0.000 0.000
La: 0.000 0.000 0.500
Zn: 0.333 0.667 0.250
Zn: 0.667 0.333 0.750
In: 0.333 0.667 0.750
In: 0.667 0.333 0.250

Computed properties:
The total DFT energy (no corrections) is -3.44 eV/atom. Its space group is No. 194.